Below is a geometry-optimized KLaZrNbO6 structure, with properties calculated at the PBE level.

Calculated values
Formation energy from the elements, eV per atom: -3.24
Total energy after the MP2020 corrections, eV/atom: -8.678
Calculated density, Mg/m³: 5.40
M_tot, Bohr magnetons per cell: 0.00
V, A^3/atom: 14.1

Lattice parameters (Å, degrees): 8.2621 8.2621 8.2621 90.00 90.00 90.00
Space group F-43m (No. 216)
Symmetry-distinct sites (fractional):
K: 0.0000 0.0000 0.0000 (multiplicity 4)
La: 0.0000 0.0000 0.5000 (multiplicity 4)
Zr: 0.2500 0.2500 0.2500 (multiplicity 4)
Nb: 0.2500 0.2500 0.7500 (multiplicity 4)
O: 0.0045 0.2500 0.7500 (multiplicity 24)

Below is a geometry-optimized AsPd4 structure, with properties calculated at the PBE level.

Calculated values
Formation energy from the elements, eV per atom: -0.16
Calculated density, Mg/m³: 10.56
M_tot, Bohr magnetons per cell: 0.05
V, A^3/atom: 15.7

Lattice parameters (Å, degrees): 3.0977 3.0977 16.4033 90.00 90.00 90.00
Space group I4/mmm (No. 139)
Symmetry-distinct sites (fractional):
As: 0.0000 0.0000 0.0000 (multiplicity 2)
Pd: 0.0000 0.0000 0.1995 (multiplicity 4)
Pd: 0.0000 0.0000 0.4093 (multiplicity 4)

Below is a geometry-optimized LiCoAs structure, with properties calculated at the PBE level.

Calculated values
Formation energy from the elements, eV per atom: -0.50
Calculated density, Mg/m³: 5.40
V, A^3/atom: 14.4

Lattice parameters (Å, degrees): 3.7596 3.7596 6.1219 90.00 90.00 90.00
Space group P4/nmm (No. 129, origin choice 2)
Symmetry-distinct sites (fractional):
Li: 0.2500 0.2500 0.1714 (multiplicity 2)
Co: 0.2500 0.7500 0.5000 (multiplicity 2)
As: 0.2500 0.2500 0.7307 (multiplicity 2)

Below is a geometry-optimized PrSi2Mo2C structure, with properties calculated at the PBE level.

Calculated values
Formation energy from the elements, eV per atom: -0.44
Calculated density, Mg/m³: 6.80
M_tot, Bohr magnetons per cell: 0.00
V, A^3/atom: 16.3

Lattice parameters (Å, degrees): 4.2380 4.2380 5.4535 90.00 90.00 90.00
Space group P4/mmm (No. 123)
Symmetry-distinct sites (fractional):
Pr: 0.0000 0.0000 0.0000 (multiplicity 1)
Si: 0.5000 0.5000 0.2224 (multiplicity 2)
Mo: 0.0000 0.5000 0.5000 (multiplicity 2)
C: 0.0000 0.0000 0.5000 (multiplicity 1)

Below is a geometry-optimized Sr2SmTaCu2O8 structure, with properties calculated at the PBE level.

Calculated values
Formation energy from the elements, eV per atom: -2.77
Total energy after the MP2020 corrections, eV/atom: -7.610
Calculated density, Mg/m³: 6.93
M_tot, Bohr magnetons per cell: 0.02
V, A^3/atom: 13.0
Polymorph energy (0 for the lowest one), kJ/mol of formula units: 22

Lattice parameters (Å, degrees): 3.9387 3.9387 11.7654 90.00 90.00 90.00
Space group P4/mmm (No. 123)
Symmetry-distinct sites (fractional):
Sr: 0.0000 0.0000 0.2006 (multiplicity 2)
Sm: 0.0000 0.0000 0.5000 (multiplicity 1)
Ta: 0.5000 0.5000 0.0000 (multiplicity 1)
Cu: 0.5000 0.5000 0.3597 (multiplicity 2)
O: 0.0000 0.5000 0.0000 (multiplicity 2)
O: 0.0000 0.5000 0.3720 (multiplicity 4)
O: 0.5000 0.5000 0.1686 (multiplicity 2)

Below is a geometry-optimized ZnSnP4O12 structure, with properties calculated at the PBE level.

Calculated values
Formation energy from the elements, eV per atom: -2.41
Total energy after the MP2020 corrections, eV/atom: -7.202
Calculated density, Mg/m³: 3.22
M_tot, Bohr magnetons per cell: 0.01
V, A^3/atom: 14.3

Lattice parameters (Å, degrees): 12.4295 8.7450 10.9916 90.00 120.23 90.00
Space group C2/c (No. 15)
Symmetry-distinct sites (fractional):
Zn: 0.0000 0.0072 0.2500 (multiplicity 4)
Sn: 0.2500 0.2500 0.5000 (multiplicity 4)
P: 0.0134 0.2582 0.9865 (multiplicity 8)
P: 0.1939 0.4904 0.1830 (multiplicity 8)
O: 0.0260 0.2116 0.4088 (multiplicity 8)
O: 0.0357 0.1390 0.9053 (multiplicity 8)
O: 0.0889 0.3782 0.6238 (multiplicity 8)
O: 0.1377 0.3608 0.0622 (multiplicity 8)
O: 0.1928 0.0508 0.3203 (multiplicity 8)
O: 0.2102 0.4366 0.3196 (multiplicity 8)